# PrYMg6

PrYMg6 after structural relaxation (r²SCAN, the Materials Project).

Energy of formation from the pure elements (kJ/mol of formula units): -86.3
E_tot (eV/atom): -9.45

```
data_PrYMg6
_cell_length_a 5.1965
_cell_length_b 5.1965
_cell_length_c 25.5310
_cell_angle_alpha 90.00
_cell_angle_beta 90.00
_cell_angle_gamma 120.00
_symmetry_space_group_name_H-M 'R -3 m'
_symmetry_Int_Tables_number 166
_symmetry_space_group_name_Hall '-R 3 2"'
loop_
_atom_site_label
_atom_site_type_symbol
_atom_site_fract_x
_atom_site_fract_y
_atom_site_fract_z
_atom_site_occupancy
Pr1 Pr 0.0000 0.0000 0.0000 1
Y1 Y 0.0000 0.0000 0.5000 1
Mg1 Mg 0.0000 0.0000 0.1258 1
Mg2 Mg 0.0000 0.0000 0.2493 1
Mg3 Mg 0.0000 0.0000 0.3762 1
```